# 1
# SeO3, optimized geometry, DFT PBE-GGA
# - E_form: -3.50 eV/f.u.
# - Space group: P-42_1c, No. 114
# - Volume: 70.7 Å³/f.u.
data_SeO3
_cell_length_a 10.095
_cell_length_b 10.095
_cell_length_c 5.552
_cell_angle_alpha 90.00
_cell_angle_beta 90.00
_cell_angle_gamma 90.00
_space_group_name_H-M_alt 'P 1'
_space_group_IT_number 1
loop_
_space_group_symop_operation_xyz
'x,y,z'
loop_
_atom_site_label
_atom_site_type_symbol
_atom_site_fract_x
_atom_site_fract_y
_atom_site_fract_z
Se1 Se 0.011 0.221 0.439
Se2 Se 0.221 0.989 0.561
Se3 Se 0.279 0.489 0.939
Se4 Se 0.489 0.721 0.061
Se5 Se 0.511 0.279 0.061
Se6 Se 0.721 0.511 0.939
Se7 Se 0.779 0.011 0.561
Se8 Se 0.989 0.779 0.439
O1 O 0.053 0.664 0.605
O2 O 0.095 0.240 0.194
O3 O 0.101 0.117 0.654
O4 O 0.117 0.899 0.346
O5 O 0.164 0.553 0.105
O6 O 0.240 0.905 0.806
O7 O 0.260 0.405 0.694
O8 O 0.336 0.053 0.395
O9 O 0.383 0.399 0.154
O10 O 0.399 0.617 0.846
O11 O 0.405 0.740 0.306
O12 O 0.447 0.164 0.895
O13 O 0.553 0.836 0.895
O14 O 0.595 0.260 0.306
O15 O 0.601 0.383 0.846
O16 O 0.617 0.601 0.154
O17 O 0.664 0.947 0.395
O18 O 0.740 0.595 0.694
O19 O 0.760 0.095 0.806
O20 O 0.836 0.447 0.105
O21 O 0.883 0.101 0.346
O22 O 0.899 0.883 0.654
O23 O 0.905 0.760 0.194
O24 O 0.947 0.336 0.605

# 2
# SeO3, optimized geometry, DFT PBE-GGA
# - E_form: -2.91 eV/f.u.
# - Spin magnetization: 0.0 μB/f.u.
# - Space group: P2_12_12_1, No. 19
# - Volume: 80.8 Å³/f.u.
data_SeO3
_cell_length_a 5.582
_cell_length_b 6.126
_cell_length_c 9.452
_cell_angle_alpha 90.00
_cell_angle_beta 90.00
_cell_angle_gamma 90.00
_space_group_name_H-M_alt 'P 1'
_space_group_IT_number 1
loop_
_space_group_symop_operation_xyz
'x,y,z'
loop_
_atom_site_label
_atom_site_type_symbol
_atom_site_fract_x
_atom_site_fract_y
_atom_site_fract_z
Se1 Se 0.130 0.023 0.384
Se2 Se 0.370 0.977 0.884
Se3 Se 0.630 0.477 0.616
Se4 Se 0.870 0.523 0.116
O1 O 0.098 0.359 0.099
O2 O 0.100 0.279 0.426
O3 O 0.119 0.068 0.819
O4 O 0.381 0.932 0.319
O5 O 0.400 0.721 0.926
O6 O 0.402 0.641 0.599
O7 O 0.598 0.141 0.901
O8 O 0.600 0.221 0.574
O9 O 0.619 0.432 0.181
O10 O 0.881 0.568 0.681
O11 O 0.900 0.779 0.074
O12 O 0.902 0.859 0.401

# 3
# SeO4, optimized geometry, DFT PBE-GGA
# - E_form: -1.89 eV/f.u.
# - Spin magnetization: 2.0 μB/f.u.
# - Space group: P2_12_12_1, No. 19
# - Volume: 87.9 Å³/f.u.
data_SeO4
_cell_length_a 4.807
_cell_length_b 8.312
_cell_length_c 8.797
_cell_angle_alpha 90.00
_cell_angle_beta 90.00
_cell_angle_gamma 90.00
_space_group_name_H-M_alt 'P 1'
_space_group_IT_number 1
loop_
_space_group_symop_operation_xyz
'x,y,z'
loop_
_atom_site_label
_atom_site_type_symbol
_atom_site_fract_x
_atom_site_fract_y
_atom_site_fract_z
Se1 Se 0.184 0.034 0.385
Se2 Se 0.316 0.966 0.885
Se3 Se 0.684 0.466 0.615
Se4 Se 0.816 0.534 0.115
O1 O 0.043 0.123 0.233
O2 O 0.057 0.855 0.962
O3 O 0.064 0.496 0.984
O4 O 0.160 0.139 0.833
O5 O 0.340 0.861 0.333
O6 O 0.436 0.504 0.484
O7 O 0.443 0.145 0.462
O8 O 0.457 0.877 0.733
O9 O 0.543 0.377 0.767
O10 O 0.557 0.645 0.038
O11 O 0.564 0.004 0.016
O12 O 0.660 0.361 0.167
O13 O 0.840 0.639 0.667
O14 O 0.936 0.996 0.516
O15 O 0.943 0.355 0.538
O16 O 0.957 0.623 0.267

# 4
# SeO2, optimized geometry, DFT PBE-GGA
# - E_form: -3.46 eV/f.u.
# - Space group: P4_2/mbc, No. 135
# - Volume: 49.4 Å³/f.u.
data_SeO2
_cell_length_a 8.713
_cell_length_b 8.713
_cell_length_c 5.203
_cell_angle_alpha 90.00
_cell_angle_beta 90.00
_cell_angle_gamma 90.00
_space_group_name_H-M_alt 'P 1'
_space_group_IT_number 1
loop_
_space_group_symop_operation_xyz
'x,y,z'
loop_
_atom_site_label
_atom_site_type_symbol
_atom_site_fract_x
_atom_site_fract_y
_atom_site_fract_z
Se1 Se 0.133 0.213 0.000
Se2 Se 0.213 0.867 0.500
Se3 Se 0.287 0.367 0.500
Se4 Se 0.367 0.713 0.000
Se5 Se 0.633 0.287 0.000
Se6 Se 0.713 0.633 0.500
Se7 Se 0.787 0.133 0.500
Se8 Se 0.867 0.787 0.000
O1 O 0.054 0.820 0.000
O2 O 0.138 0.362 0.250
O3 O 0.138 0.362 0.750
O4 O 0.180 0.054 0.500
O5 O 0.320 0.554 0.500
O6 O 0.362 0.862 0.250
O7 O 0.362 0.862 0.750
O8 O 0.446 0.320 0.000
O9 O 0.554 0.680 0.000
O10 O 0.638 0.138 0.250
O11 O 0.638 0.138 0.750
O12 O 0.680 0.446 0.500
O13 O 0.820 0.946 0.500
O14 O 0.862 0.638 0.250
O15 O 0.862 0.638 0.750
O16 O 0.946 0.180 0.000

# 5
# SeO2, optimized geometry, DFT PBE-GGA
# - E_form: -3.42 eV/f.u.
# - Space group: Pmc2_1, No. 26
# - Volume: 49.0 Å³/f.u.
data_SeO2
_cell_length_a 5.218
_cell_length_b 4.685
_cell_length_c 16.047
_cell_angle_alpha 90.00
_cell_angle_beta 90.00
_cell_angle_gamma 90.00
_space_group_name_H-M_alt 'P 1'
_space_group_IT_number 1
loop_
_space_group_symop_operation_xyz
'x,y,z'
loop_
_atom_site_label
_atom_site_type_symbol
_atom_site_fract_x
_atom_site_fract_y
_atom_site_fract_z
Se1 Se 0.000 0.014 0.000
Se2 Se 0.000 0.474 0.749
Se3 Se 0.000 0.526 0.249
Se4 Se 0.000 0.986 0.500
Se5 Se 0.500 0.162 0.312
Se6 Se 0.500 0.390 0.061
Se7 Se 0.500 0.610 0.561
Se8 Se 0.500 0.838 0.812
O1 O 0.000 0.126 0.764
O2 O 0.000 0.330 0.520
O3 O 0.000 0.670 0.020
O4 O 0.000 0.874 0.264
O5 O 0.249 0.434 0.326
O6 O 0.249 0.566 0.826
O7 O 0.250 0.118 0.075
O8 O 0.250 0.882 0.575
O9 O 0.500 0.037 0.408
O10 O 0.500 0.490 0.657
O11 O 0.500 0.510 0.157
O12 O 0.500 0.963 0.908
O13 O 0.750 0.118 0.075
O14 O 0.750 0.882 0.575
O15 O 0.751 0.434 0.326
O16 O 0.751 0.566 0.826

# 6
# Sm2SiSeO4, optimized geometry, DFT PBE-GGA
# - E_form: -26.68 eV/f.u.
# - Spin magnetization: 0.0 μB/f.u.
# - Space group: Pbcm, No. 57
# - Volume: 121.8 Å³/f.u.
data_Sm2SiSeO4
_cell_length_a 6.181
_cell_length_b 7.148
_cell_length_c 11.025
_cell_angle_alpha 90.00
_cell_angle_beta 90.00
_cell_angle_gamma 90.00
_space_group_name_H-M_alt 'P 1'
_space_group_IT_number 1
loop_
_space_group_symop_operation_xyz
'x,y,z'
loop_
_atom_site_label
_atom_site_type_symbol
_atom_site_fract_x
_atom_site_fract_y
_atom_site_fract_z
Sm1 Sm 0.109 0.250 0.000
Sm2 Sm 0.109 0.250 0.500
Sm3 Sm 0.368 0.533 0.250
Sm4 Sm 0.368 0.967 0.750
Sm5 Sm 0.632 0.033 0.250
Sm6 Sm 0.632 0.467 0.750
Sm7 Sm 0.891 0.750 0.000
Sm8 Sm 0.891 0.750 0.500
Si1 Si 0.386 0.750 0.000
Si2 Si 0.386 0.750 0.500
Si3 Si 0.614 0.250 0.000
Si4 Si 0.614 0.250 0.500
Se1 Se 0.073 0.621 0.750
Se2 Se 0.073 0.879 0.250
Se3 Se 0.927 0.121 0.750
Se4 Se 0.927 0.379 0.250
O1 O 0.226 0.572 0.032
O2 O 0.226 0.572 0.468
O3 O 0.226 0.928 0.532
O4 O 0.226 0.928 0.968
O5 O 0.451 0.236 0.619
O6 O 0.451 0.236 0.881
O7 O 0.451 0.264 0.119
O8 O 0.451 0.264 0.381
O9 O 0.549 0.736 0.619
O10 O 0.549 0.736 0.881
O11 O 0.549 0.764 0.119
O12 O 0.549 0.764 0.381
O13 O 0.774 0.072 0.032
O14 O 0.774 0.072 0.468
O15 O 0.774 0.428 0.532
O16 O 0.774 0.428 0.968

# 7
# Sm4Se3O4, optimized geometry, DFT PBE-GGA
# - E_form: -33.41 eV/f.u.
# - Space group: Amm2, No. 38
# - Volume: 215.1 Å³/f.u.
data_Sm4Se3O4
_cell_length_a 8.435
_cell_length_b 6.720
_cell_length_c 6.720
_cell_angle_alpha 34.38
_cell_angle_beta 90.00
_cell_angle_gamma 90.00
_space_group_name_H-M_alt 'P 1'
_space_group_IT_number 1
loop_
_space_group_symop_operation_xyz
'x,y,z'
loop_
_atom_site_label
_atom_site_type_symbol
_atom_site_fract_x
_atom_site_fract_y
_atom_site_fract_z
Sm1 Sm 0.000 0.000 0.000
Sm2 Sm 0.237 0.680 0.680
Sm3 Sm 0.500 0.017 0.017
Sm4 Sm 0.763 0.680 0.680
Se1 Se 0.000 0.311 0.311
Se2 Se 0.351 0.354 0.354
Se3 Se 0.649 0.354 0.354
O1 O 0.000 0.586 0.586
O2 O 0.244 0.086 0.086
O3 O 0.500 0.614 0.614
O4 O 0.756 0.086 0.086

# 8
# Sm2SeO2, optimized geometry, DFT PBE-GGA
# - E_form: -16.63 eV/f.u.
# - Space group: P-3m1, No. 164
# - Volume: 94.7 Å³/f.u.
data_Sm2SeO2
_cell_length_a 3.956
_cell_length_b 3.956
_cell_length_c 6.985
_cell_angle_alpha 90.00
_cell_angle_beta 90.00
_cell_angle_gamma 120.00
_space_group_name_H-M_alt 'P 1'
_space_group_IT_number 1
loop_
_space_group_symop_operation_xyz
'x,y,z'
loop_
_atom_site_label
_atom_site_type_symbol
_atom_site_fract_x
_atom_site_fract_y
_atom_site_fract_z
Sm1 Sm 0.333 0.667 0.210
Sm2 Sm 0.667 0.333 0.790
Se1 Se 0.000 0.000 0.500
O1 O 0.333 0.667 0.874
O2 O 0.667 0.333 0.126

# 9
# Sm2Se3O20, optimized geometry, DFT PBE-GGA
# - E_form: -17.65 eV/f.u.
# - Spin magnetization: 12.7 μB/f.u.
# - E above lowest polymorph: 0 meV per atom
# - Space group: C2/c, No. 15
# - Volume: 419.1 Å³/f.u.
data_Sm2Se3O20
_cell_length_a 7.428
_cell_length_b 7.428
_cell_length_c 18.326
_cell_angle_alpha 91.75
_cell_angle_beta 91.75
_cell_angle_gamma 123.83
_space_group_name_H-M_alt 'P 1'
_space_group_IT_number 1
loop_
_space_group_symop_operation_xyz
'x,y,z'
loop_
_atom_site_label
_atom_site_type_symbol
_atom_site_fract_x
_atom_site_fract_y
_atom_site_fract_z
Sm1 Sm 0.163 0.297 0.398
Sm2 Sm 0.297 0.163 0.898
Sm3 Sm 0.703 0.837 0.102
Sm4 Sm 0.837 0.703 0.602
Se1 Se 0.196 0.325 0.599
Se2 Se 0.319 0.681 0.250
Se3 Se 0.325 0.196 0.099
Se4 Se 0.675 0.804 0.901
Se5 Se 0.681 0.319 0.750
Se6 Se 0.804 0.675 0.401
O1 O 0.062 0.259 0.823
O2 O 0.068 0.303 0.518
O3 O 0.076 0.116 0.124
O4 O 0.116 0.076 0.624
O5 O 0.130 0.343 0.939
O6 O 0.145 0.446 0.665
O7 O 0.153 0.647 0.177
O8 O 0.187 0.752 0.643
O9 O 0.219 0.434 0.280
O10 O 0.248 0.813 0.857
O11 O 0.259 0.062 0.323
O12 O 0.269 0.677 0.431
O13 O 0.303 0.068 0.018
O14 O 0.323 0.731 0.069
O15 O 0.343 0.130 0.439
O16 O 0.353 0.847 0.323
O17 O 0.434 0.219 0.780
O18 O 0.446 0.145 0.165
O19 O 0.457 0.462 0.085
O20 O 0.462 0.457 0.585
O21 O 0.538 0.543 0.415
O22 O 0.543 0.538 0.915
O23 O 0.554 0.855 0.835
O24 O 0.566 0.781 0.220
O25 O 0.647 0.153 0.677
O26 O 0.657 0.870 0.561
O27 O 0.677 0.269 0.931
O28 O 0.697 0.932 0.982
O29 O 0.731 0.323 0.569
O30 O 0.741 0.938 0.677
O31 O 0.752 0.187 0.143
O32 O 0.781 0.566 0.720
O33 O 0.813 0.248 0.357
O34 O 0.847 0.353 0.823
O35 O 0.855 0.554 0.335
O36 O 0.870 0.657 0.061
O37 O 0.884 0.924 0.376
O38 O 0.924 0.884 0.876
O39 O 0.932 0.697 0.482
O40 O 0.938 0.741 0.177

# 10
# Sm2Se2O, optimized geometry, DFT PBE-GGA
# - E_form: -12.97 eV/f.u.
# - E above lowest polymorph: 3 meV per atom
# - Space group: Pnma, No. 62
# - Volume: 118.8 Å³/f.u.
data_Sm2Se2O
_cell_length_a 16.457
_cell_length_b 4.023
_cell_length_c 7.175
_cell_angle_alpha 90.00
_cell_angle_beta 90.00
_cell_angle_gamma 90.00
_space_group_name_H-M_alt 'P 1'
_space_group_IT_number 1
loop_
_space_group_symop_operation_xyz
'x,y,z'
loop_
_atom_site_label
_atom_site_type_symbol
_atom_site_fract_x
_atom_site_fract_y
_atom_site_fract_z
Sm1 Sm 0.038 0.250 0.198
Sm2 Sm 0.161 0.250 0.759
Sm3 Sm 0.339 0.750 0.259
Sm4 Sm 0.462 0.750 0.698
Sm5 Sm 0.538 0.250 0.302
Sm6 Sm 0.661 0.250 0.741
Sm7 Sm 0.839 0.750 0.241
Sm8 Sm 0.962 0.750 0.802
Se1 Se 0.100 0.750 0.510
Se2 Se 0.179 0.750 0.052
Se3 Se 0.321 0.250 0.552
Se4 Se 0.400 0.250 0.010
Se5 Se 0.600 0.750 0.990
Se6 Se 0.679 0.750 0.448
Se7 Se 0.821 0.250 0.948
Se8 Se 0.900 0.250 0.490
O1 O 0.031 0.250 0.872
O2 O 0.469 0.750 0.372
O3 O 0.531 0.250 0.628
O4 O 0.969 0.750 0.128

# 11
# Sm2Se3O20, optimized geometry, DFT PBE-GGA
# - E_form: -17.35 eV/f.u.
# - Spin magnetization: 12.0 μB/f.u.
# - E above lowest polymorph: 12 meV per atom
# - Space group: C2/c, No. 15
# - Volume: 470.8 Å³/f.u.
data_Sm2Se3O20
_cell_length_a 7.793
_cell_length_b 7.793
_cell_length_c 20.376
_cell_angle_alpha 102.62
_cell_angle_beta 102.62
_cell_angle_gamma 51.66
_space_group_name_H-M_alt 'P 1'
_space_group_IT_number 1
loop_
_space_group_symop_operation_xyz
'x,y,z'
loop_
_atom_site_label
_atom_site_type_symbol
_atom_site_fract_x
_atom_site_fract_y
_atom_site_fract_z
Sm1 Sm 0.125 0.161 0.390
Sm2 Sm 0.161 0.125 0.890
Sm3 Sm 0.839 0.875 0.110
Sm4 Sm 0.875 0.839 0.610
Se1 Se 0.188 0.234 0.084
Se2 Se 0.234 0.188 0.584
Se3 Se 0.272 0.728 0.750
Se4 Se 0.728 0.272 0.250
Se5 Se 0.766 0.812 0.416
Se6 Se 0.812 0.766 0.916
O1 O 0.024 0.782 0.721
O2 O 0.076 0.461 0.584
O3 O 0.085 0.218 0.003
O4 O 0.099 0.492 0.111
O5 O 0.105 0.161 0.136
O6 O 0.161 0.105 0.636
O7 O 0.168 0.813 0.377
O8 O 0.187 0.832 0.123
O9 O 0.218 0.085 0.503
O10 O 0.218 0.757 0.595
O11 O 0.218 0.976 0.779
O12 O 0.243 0.782 0.905
O13 O 0.306 0.330 0.348
O14 O 0.330 0.306 0.848
O15 O 0.367 0.371 0.907
O16 O 0.371 0.367 0.407
O17 O 0.403 0.569 0.814
O18 O 0.431 0.597 0.686
O19 O 0.461 0.076 0.084
O20 O 0.492 0.099 0.611
O21 O 0.508 0.901 0.389
O22 O 0.539 0.924 0.916
O23 O 0.569 0.403 0.314
O24 O 0.597 0.431 0.186
O25 O 0.629 0.633 0.593
O26 O 0.633 0.629 0.093
O27 O 0.670 0.694 0.152
O28 O 0.694 0.670 0.652
O29 O 0.757 0.218 0.095
O30 O 0.782 0.024 0.221
O31 O 0.782 0.243 0.405
O32 O 0.782 0.915 0.497
O33 O 0.813 0.168 0.877
O34 O 0.832 0.187 0.623
O35 O 0.839 0.895 0.364
O36 O 0.895 0.839 0.864
O37 O 0.901 0.508 0.889
O38 O 0.915 0.782 0.997
O39 O 0.924 0.539 0.416
O40 O 0.976 0.218 0.279

# 12
# Sm2Se2O, optimized geometry, DFT PBE-GGA
# - E_form: -12.99 eV/f.u.
# - E above lowest polymorph: 0 meV per atom
# - Space group: P2_1/c, No. 14
# - Volume: 114.0 Å³/f.u.
data_Sm2Se2O
_cell_length_a 8.780
_cell_length_b 7.255
_cell_length_c 7.267
_cell_angle_alpha 90.00
_cell_angle_beta 99.92
_cell_angle_gamma 90.00
_space_group_name_H-M_alt 'P 1'
_space_group_IT_number 1
loop_
_space_group_symop_operation_xyz
'x,y,z'
loop_
_atom_site_label
_atom_site_type_symbol
_atom_site_fract_x
_atom_site_fract_y
_atom_site_fract_z
Sm1 Sm 0.073 0.149 0.328
Sm2 Sm 0.073 0.351 0.828
Sm3 Sm 0.356 0.551 0.246
Sm4 Sm 0.356 0.949 0.746
Sm5 Sm 0.644 0.051 0.254
Sm6 Sm 0.644 0.449 0.754
Sm7 Sm 0.927 0.649 0.172
Sm8 Sm 0.927 0.851 0.672
Se1 Se 0.180 0.628 0.571
Se2 Se 0.180 0.872 0.071
Se3 Se 0.423 0.222 0.470
Se4 Se 0.423 0.278 0.970
Se5 Se 0.577 0.722 0.030
Se6 Se 0.577 0.778 0.530
Se7 Se 0.820 0.128 0.929
Se8 Se 0.820 0.372 0.429
O1 O 0.114 0.086 0.649
O2 O 0.114 0.414 0.149
O3 O 0.886 0.586 0.851
O4 O 0.886 0.914 0.351